[1]
VASP calculation (PBE) on Zn3B2O6 after structural relaxation.

abc: 12.5410 12.5410 8.4832
angles: 103.17 103.17 23.40
Fractional coordinates of all 44 atoms:
Zn  0.0993  0.4815  0.7878
Zn  0.1261  0.7759  0.8251
Zn  0.1901  0.5555  0.1201
Zn  0.2241  0.8739  0.6749
Zn  0.4445  0.8099  0.3799
Zn  0.4815  0.0993  0.2878
Zn  0.5185  0.9007  0.7122
Zn  0.5555  0.1901  0.6201
Zn  0.7759  0.1261  0.3251
Zn  0.8099  0.4445  0.8799
Zn  0.8739  0.2241  0.1749
Zn  0.9007  0.5185  0.2122
B  0.0023  0.3725  0.5202
B  0.2586  0.6108  0.4627
B  0.3725  0.0023  0.0202
B  0.3892  0.7414  0.0373
B  0.6108  0.2586  0.9627
B  0.6275  0.9977  0.9798
B  0.7414  0.3892  0.5373
B  0.9977  0.6275  0.4798
O  0.0970  0.2705  0.0204
O  0.0977  0.4711  0.3399
O  0.1008  0.7385  0.3200
O  0.1615  0.5110  0.6202
O  0.1643  0.7636  0.6009
O  0.2364  0.8357  0.8991
O  0.2615  0.8992  0.1800
O  0.2705  0.0970  0.5204
O  0.3324  0.5055  0.9602
O  0.4711  0.0977  0.8399
O  0.4890  0.8385  0.8798
O  0.4945  0.6676  0.5398
O  0.5055  0.3324  0.4602
O  0.5110  0.1615  0.1202
O  0.5289  0.9023  0.1601
O  0.6676  0.4945  0.0398
O  0.7295  0.9030  0.4796
O  0.7385  0.1008  0.8200
O  0.7636  0.1643  0.1009
O  0.8357  0.2364  0.3991
O  0.8385  0.4890  0.3798
O  0.8992  0.2615  0.6800
O  0.9023  0.5289  0.6601
O  0.9030  0.7295  0.9796

Computed properties:
E above lowest polymorph ... 6 meV/atom
DFT formation energy ... -25.016 eV/f.u.
Calculated volume ... 11.7 A^3/atom



[2]
VASP calculation (PBE) on AlAs3Se4Cl4 after structural relaxation.

abc: 12.5198 12.5198 14.4886
angles: 120.69 120.69 63.66
Fractional coordinates of all 48 atoms:
Al  0.1883  0.2685  0.4199
Al  0.2685  0.1883  0.9199
Al  0.7315  0.8117  0.0801
Al  0.8117  0.7315  0.5801
As  0.1234  0.7042  0.0511
As  0.1409  0.6602  0.4236
As  0.2011  0.5715  0.8859
As  0.2958  0.8766  0.4489
As  0.3398  0.8591  0.0764
As  0.4285  0.7989  0.6141
As  0.5715  0.2011  0.3859
As  0.6602  0.1409  0.9236
As  0.7042  0.1234  0.5511
As  0.7989  0.4285  0.1141
As  0.8591  0.3398  0.5764
As  0.8766  0.2958  0.9489
Se  0.0951  0.8396  0.3777
Se  0.1604  0.9049  0.1223
Se  0.2782  0.7073  0.8810
Se  0.2927  0.7218  0.6190
Se  0.2992  0.5183  0.3330
Se  0.3524  0.5621  0.0858
Se  0.4379  0.6476  0.4142
Se  0.4817  0.7008  0.1670
Se  0.5183  0.2992  0.8330
Se  0.5621  0.3524  0.5858
Se  0.6476  0.4379  0.9142
Se  0.7008  0.4817  0.6670
Se  0.7073  0.2782  0.3810
Se  0.7218  0.2927  0.1190
Se  0.8396  0.0951  0.8777
Se  0.9049  0.1604  0.6223
Cl  0.0635  0.1769  0.3998
Cl  0.1254  0.3034  0.2655
Cl  0.1380  0.3794  0.9445
Cl  0.1769  0.0635  0.8998
Cl  0.2014  0.4449  0.5678
Cl  0.3034  0.1254  0.7655
Cl  0.3794  0.1380  0.4445
Cl  0.4449  0.2014  0.0678
Cl  0.5551  0.7986  0.9322
Cl  0.6206  0.8620  0.5555
Cl  0.6966  0.8746  0.2345
Cl  0.7986  0.5551  0.4322
Cl  0.8231  0.9365  0.1002
Cl  0.8620  0.6206  0.0555
Cl  0.8746  0.6966  0.7345
Cl  0.9365  0.8231  0.6002

Computed properties:
DFT formation energy ... -10.510 eV/f.u.
Calculated volume ... 33.9 A^3/atom



How do the records compare in magnetic moment? In the order shown, they have 0.00, 0.00 μB/cell.